Entry 1:
# SrAlO2F4

A geometry-optimized SrAlO2F4 structure (PBE, the Materials Project database).

Output
Relative energy among the computed polymorphs, meV/atom: 34
ΔE_f, eV/f.u.: -22.59
Space-group type: No. 14

Cell: 10.832 5.278 8.953 Å, 75.00 90.00 90.00°
Atoms (fractional coordinates):
F: 0.010 0.909 0.870
O: 0.472 0.110 0.021
F: 0.403 0.505 0.733
O: 0.787 0.602 0.015
Sr: 0.807 0.127 0.954
Sr: 0.193 0.873 0.046
F: 0.673 0.977 0.194
F: 0.624 0.318 0.806
Al: 0.973 0.799 0.706
F: 0.876 0.318 0.306
F: 0.097 0.505 0.233
Al: 0.473 0.201 0.794
Sr: 0.307 0.873 0.546
F: 0.173 0.023 0.306
F: 0.124 0.682 0.694
F: 0.903 0.495 0.767
F: 0.327 0.023 0.806
O: 0.528 0.890 0.979
O: 0.213 0.398 0.985
F: 0.827 0.977 0.694
F: 0.990 0.091 0.130
Al: 0.027 0.201 0.294
O: 0.713 0.602 0.515
O: 0.287 0.398 0.485
O: 0.972 0.890 0.479
O: 0.028 0.110 0.521
F: 0.490 0.909 0.370
Sr: 0.693 0.127 0.454
Al: 0.527 0.799 0.206
F: 0.510 0.091 0.630
F: 0.376 0.682 0.194
F: 0.597 0.495 0.267

Entry 2:
# MgAl10O16

A geometry-optimized MgAl10O16 structure (PBE, the Materials Project database).

Output
ΔE_f, eV/f.u.: -91.58
Space-group type: No. 160

Cell: 9.706 9.706 9.706 Å, 34.27 34.27 34.27°
Atoms (fractional coordinates):
O: 0.163 0.601 0.601
Al: 0.749 0.246 0.246
O: 0.601 0.163 0.601
Al: 0.498 0.498 0.498
O: 0.882 0.882 0.378
Al: 0.692 0.692 0.692
Al: 0.246 0.749 0.246
O: 0.120 0.120 0.618
O: 0.851 0.388 0.388
O: 0.882 0.378 0.882
Mg: 0.810 0.810 0.810
O: 0.883 0.883 0.883
Al: 0.243 0.760 0.760
Al: 0.760 0.243 0.760
O: 0.120 0.618 0.120
O: 0.123 0.123 0.123
O: 0.388 0.851 0.388
O: 0.378 0.882 0.882
Al: 0.246 0.246 0.749
Al: 0.310 0.310 0.310
O: 0.618 0.120 0.120
O: 0.601 0.601 0.163
Al: 0.760 0.760 0.243
Al: 0.189 0.189 0.189
O: 0.623 0.623 0.623
O: 0.388 0.388 0.851
O: 0.375 0.375 0.375

Entry 3:
# K4Cu3As4H2O16

A geometry-optimized K4Cu3As4H2O16 structure (PBE, the Materials Project database).

Output
ΔE_f, eV/f.u.: -48.43
Space-group type: No. 14

Cell: 10.265 9.556 9.846 Å, 61.67 90.00 90.00°
Atoms (fractional coordinates):
O: 0.654 0.813 0.634
O: 0.810 0.414 0.120
O: 0.677 0.750 0.389
K: 0.994 0.236 0.325
K: 0.377 0.907 0.663
O: 0.756 0.193 0.021
Cu: 0.654 0.615 0.621
O: 0.850 0.493 0.359
O: 0.256 0.807 0.479
O: 0.310 0.586 0.380
K: 0.006 0.764 0.675
As: 0.169 0.189 0.689
O: 0.041 0.286 0.565
O: 0.744 0.193 0.521
O: 0.154 0.187 0.866
H: 0.307 0.885 0.375
K: 0.494 0.764 0.175
O: 0.846 0.813 0.134
O: 0.576 0.444 0.335
As: 0.669 0.811 0.811
O: 0.190 0.586 0.880
Cu: 0.846 0.615 0.121
O: 0.959 0.714 0.435
As: 0.831 0.811 0.311
O: 0.690 0.414 0.620
O: 0.177 0.250 0.111
O: 0.139 0.995 0.731
O: 0.823 0.750 0.889
H: 0.193 0.885 0.875
As: 0.204 0.603 0.047
O: 0.424 0.556 0.665
O: 0.861 0.005 0.269
O: 0.459 0.286 0.065
O: 0.350 0.507 0.141
As: 0.704 0.397 0.453
K: 0.623 0.093 0.337
O: 0.924 0.444 0.835
O: 0.361 0.995 0.231
K: 0.123 0.907 0.163
As: 0.296 0.603 0.547
Cu: 0.000 0.500 0.500
As: 0.331 0.189 0.189
O: 0.076 0.556 0.165
O: 0.541 0.714 0.935
H: 0.693 0.115 0.625
Cu: 0.500 0.500 0.000
O: 0.650 0.493 0.859
Cu: 0.154 0.385 0.879
Cu: 0.346 0.385 0.379
O: 0.346 0.187 0.366
O: 0.639 0.005 0.769
H: 0.807 0.115 0.125
K: 0.506 0.236 0.825
K: 0.877 0.093 0.837
O: 0.323 0.250 0.611
O: 0.150 0.507 0.641
O: 0.244 0.807 0.979
As: 0.796 0.397 0.953

> Among the records above, which one has the highest ΔE_f?

SrAlO2F4